## Ca2Cu2Si3H4O12 (PBE)

Data for a relaxed structure of Ca2Cu2Si3H4O12.

Cell lengths 13.3100, 5.4522, 7.1036 Å; angles 86.81, 90.00, 90.00 degrees
Sites, in units of the cell vectors:
Ca (0.6055, 0.9556, 0.1230)
Ca (0.1055, 0.0444, 0.8770)
Ca (0.3945, 0.0444, 0.8770)
Ca (0.8945, 0.9556, 0.1230)
Cu (0.7500, 0.7768, 0.4814)
Cu (0.2500, 0.2232, 0.5186)
Cu (0.7500, 0.2925, 0.5602)
Cu (0.2500, 0.7075, 0.4398)
Si (0.5770, 0.5389, 0.7775)
Si (0.0770, 0.4611, 0.2225)
Si (0.4230, 0.4611, 0.2225)
Si (0.9230, 0.5389, 0.7775)
Si (0.7500, 0.4477, 0.0856)
Si (0.2500, 0.5523, 0.9144)
H (0.5901, 0.9926, 0.6408)
H (0.0901, 0.0074, 0.3592)
H (0.4099, 0.0074, 0.3592)
H (0.9099, 0.9926, 0.6408)
H (0.5924, 0.1943, 0.4584)
H (0.0924, 0.8057, 0.5416)
H (0.4076, 0.8057, 0.5416)
H (0.9076, 0.1943, 0.4584)
O (0.7500, 0.2065, 0.2273)
O (0.2500, 0.7935, 0.7727)
O (0.6495, 0.4175, 0.9512)
O (0.1495, 0.5825, 0.0488)
O (0.3505, 0.5825, 0.0488)
O (0.8505, 0.4175, 0.9512)
O (0.6513, 0.5464, 0.5849)
O (0.1513, 0.4536, 0.4151)
O (0.3487, 0.4536, 0.4151)
O (0.8487, 0.5464, 0.5849)
O (0.7500, 0.7158, 0.1759)
O (0.2500, 0.2842, 0.8241)
O (0.5495, 0.8279, 0.8138)
O (0.0495, 0.1721, 0.1862)
O (0.4505, 0.1721, 0.1862)
O (0.9505, 0.8279, 0.8138)
O (0.5126, 0.6483, 0.2510)
O (0.0126, 0.3517, 0.7490)
O (0.4874, 0.3517, 0.7490)
O (0.9874, 0.6483, 0.2510)
O (0.6310, 0.0594, 0.5224)
O (0.1310, 0.9406, 0.4776)
O (0.3690, 0.9406, 0.4776)
O (0.8690, 0.0594, 0.5224)

Summary:
* formation energy from the elements: -2245.3 meV/atom
* symmetry: P2_1/m
* ΔE to the lowest computed polymorph: 79 meV/atom
* calculated total energy: -6.30 eV/atom